Below is a geometry-optimized NaBH34C12N4 structure, with properties calculated at the PBE level.

## Properties
Formation enthalpy at 0 K = -165.1 meV/atom

The structure in POSCAR format:
```
NaBH34C12N4
1.0
10.710 0.000 0.000
-5.355 9.275 0.000
0.000 0.000 10.646
Na B H C N
2 2 68 24 8
direct
0.333 0.667 0.000 Na
0.667 0.333 0.500 Na
0.333 0.667 0.751 B
0.667 0.333 0.251 B
0.002 0.564 0.118 H
0.008 0.634 0.965 H
0.009 0.321 0.024 H
0.050 0.303 0.597 H
0.062 0.187 0.033 H
0.082 0.396 0.218 H
0.118 0.600 0.293 H
0.125 0.938 0.033 H
0.127 0.316 0.908 H
0.129 0.832 0.261 H
0.168 0.296 0.261 H
0.187 0.125 0.533 H
0.189 0.873 0.908 H
0.214 0.643 0.790 H
0.243 0.739 0.392 H
0.253 0.950 0.597 H
0.261 0.504 0.392 H
0.296 0.129 0.761 H
0.303 0.253 0.097 H
0.312 0.991 0.024 H
0.313 0.918 0.218 H
0.316 0.189 0.408 H
0.321 0.312 0.524 H
0.333 0.667 0.636 H
0.357 0.571 0.790 H
0.366 0.374 0.965 H
0.374 0.008 0.465 H
0.396 0.313 0.718 H
0.400 0.518 0.293 H
0.429 0.786 0.790 H
0.436 0.438 0.118 H
0.438 0.002 0.618 H
0.482 0.882 0.293 H
0.496 0.757 0.392 H
0.504 0.243 0.892 H
0.518 0.118 0.793 H
0.562 0.998 0.118 H
0.564 0.562 0.618 H
0.571 0.214 0.290 H
0.600 0.482 0.793 H
0.604 0.687 0.218 H
0.626 0.992 0.965 H
0.634 0.626 0.465 H
0.643 0.429 0.290 H
0.667 0.333 0.136 H
0.679 0.688 0.024 H
0.684 0.811 0.908 H
0.687 0.082 0.718 H
0.688 0.009 0.524 H
0.697 0.747 0.597 H
0.704 0.871 0.261 H
0.739 0.496 0.892 H
0.747 0.050 0.097 H
0.757 0.261 0.892 H
0.786 0.357 0.290 H
0.811 0.127 0.408 H
0.813 0.875 0.033 H
0.832 0.704 0.761 H
0.871 0.168 0.761 H
0.873 0.684 0.408 H
0.875 0.062 0.533 H
0.882 0.400 0.793 H
0.918 0.604 0.718 H
0.938 0.813 0.533 H
0.950 0.697 0.097 H
0.991 0.679 0.524 H
0.992 0.366 0.465 H
0.998 0.436 0.618 H
0.027 0.662 0.065 C
0.099 0.301 0.008 C
0.186 0.397 0.215 C
0.202 0.901 0.008 C
0.211 0.814 0.215 C
0.223 0.701 0.293 C
0.299 0.522 0.293 C
0.301 0.202 0.508 C
0.338 0.365 0.065 C
0.365 0.027 0.565 C
0.397 0.211 0.715 C
0.478 0.777 0.293 C
0.522 0.223 0.793 C
0.603 0.789 0.215 C
0.635 0.973 0.065 C
0.662 0.635 0.565 C
0.699 0.798 0.008 C
0.701 0.478 0.793 C
0.777 0.299 0.793 C
0.789 0.186 0.715 C
0.798 0.099 0.508 C
0.814 0.603 0.715 C
0.901 0.699 0.508 C
0.973 0.338 0.565 C
0.177 0.776 0.082 N
0.224 0.401 0.082 N
0.333 0.667 0.250 N
0.401 0.177 0.582 N
0.599 0.823 0.082 N
0.667 0.333 0.750 N
0.776 0.599 0.582 N
0.823 0.224 0.582 N
```